DFT (PBE+U) results for a relaxed Sr5V3BrO12 crystal.

Computed properties:
magnetic moment = 0.0002 μB/atom
uncorrected energy = -6.967 eV/atom
E_form = -62.93 eV per formula unit

abc: 10.4556 10.4556 7.3814
angles: 90.00 90.00 120.00
Sites, in units of the cell vectors:
V  0.4060  0.3714  0.2500
V  0.9655  0.5940  0.2500
V  0.3714  0.9655  0.7500
V  0.6286  0.0345  0.2500
V  0.5940  0.6286  0.7500
V  0.0345  0.4060  0.7500
O  0.6471  0.7440  0.9372
O  0.4678  0.8681  0.7500
O  0.2560  0.9031  0.9372
O  0.4003  0.5322  0.7500
O  0.6471  0.7440  0.5628
O  0.0969  0.3529  0.9372
O  0.5103  0.8432  0.2500
O  0.5997  0.4678  0.2500
O  0.4897  0.1568  0.7500
O  0.3329  0.4897  0.2500
O  0.9031  0.6471  0.0628
O  0.1568  0.6671  0.2500
O  0.3529  0.2560  0.4372
O  0.3529  0.2560  0.0628
O  0.5322  0.1319  0.2500
O  0.9031  0.6471  0.4372
O  0.8432  0.3329  0.7500
O  0.1319  0.5997  0.7500
O  0.7440  0.0969  0.0628
O  0.0969  0.3529  0.5628
O  0.8681  0.4003  0.2500
O  0.6671  0.5103  0.7500
O  0.7440  0.0969  0.4372
O  0.2560  0.9031  0.5628
Br  0.0000  0.0000  0.0000
Br  0.0000  0.0000  0.5000
Sr  0.3333  0.6667  0.4975
Sr  0.6667  0.3333  0.5025
Sr  0.2597  0.0006  0.2500
Sr  0.2592  0.2597  0.7500
Sr  0.6667  0.3333  0.9975
Sr  0.9994  0.2592  0.2500
Sr  0.7403  0.9994  0.7500
Sr  0.0006  0.7408  0.7500
Sr  0.7408  0.7403  0.2500
Sr  0.3333  0.6667  0.0025